Here is a relaxed BaZnBO3F crystal from Materials Project. Energies are from PBE.

abc: 5.127 5.127 4.364
angles: 90.00 90.00 120.00
Positions (direct):
Ba 0.000 0.000 0.000
Zn 0.333 0.667 0.500
B 0.667 0.333 0.500
O 0.384 0.309 0.500
O 0.691 0.075 0.500
O 0.925 0.616 0.500
F 0.333 0.667 0.000

Computed properties:
Total magnetic moment = 0.0 μB/cell
Energy = -44.62 eV for the cell shown
Formation energy from the elements = -1980 kJ/mol of formula units